{
  "formula": "Li2FeF5",
  "functional": "PBE with a Hubbard U",
  "state": "relaxed",
  "sg": "No. 33",
  "e_form_ev_per_atom": -2.8350,
  "energy_mp2020_ev_per_atom": -5.568,
  "vol_a3_per_fu": 88.4,
  "de_polymorph_mev_per_atom": 81,
  "crystal_system": "orthorhombic",
  "m_tot_mub_per_cell": 20.0,
  "lattice_angstrom": [[-4.997, -3.586, -0.731], [3.025, -3.276, -4.607], [3.166, -5.657, 6.101]],
  "species": ["Li", "Li", "Li", "Li", "Li", "Li", "Li", "Li", "Fe", "Fe", "Fe", "Fe", "F", "F", "F", "F", "F", "F", "F", "F", "F", "F", "F", "F", "F", "F", "F", "F", "F", "F", "F", "F"],
  "frac_coords": [[0.763, 0.942, 0.346], [0.234, 0.937, 0.338], [0.234, 0.563, 0.838], [0.763, 0.558, 0.846], [0.263, 0.442, 0.154], [0.734, 0.437, 0.162], [0.734, 0.063, 0.662], [0.263, 0.058, 0.654], [0.994, 0.084, 0.000], [0.994, 0.416, 0.500], [0.494, 0.584, 0.500], [0.494, 0.916, 0.000], [0.992, 0.083, 0.493], [0.494, 0.063, 0.803], [0.699, 0.168, 0.063], [0.288, 0.167, 0.064], [0.997, 0.123, 0.785], [0.997, 0.377, 0.285], [0.288, 0.333, 0.564], [0.699, 0.332, 0.563], [0.494, 0.437, 0.303], [0.992, 0.417, 0.993], [0.492, 0.583, 0.007], [0.994, 0.563, 0.697], [0.199, 0.668, 0.437], [0.788, 0.667, 0.436], [0.497, 0.623, 0.715], [0.497, 0.877, 0.215], [0.788, 0.833, 0.936], [0.199, 0.832, 0.937], [0.994, 0.937, 0.197], [0.492, 0.917, 0.507]]
}

***

{
  "formula": "Na4Li4MnFe3P4O16F4",
  "functional": "PBE with a Hubbard U",
  "state": "relaxed",
  "sg": "No. 14",
  "e_form_ev_per_atom": -2.6160,
  "energy_mp2020_ev_per_atom": -6.949,
  "vol_a3_per_fu": 416.5,
  "crystal_system": "monoclinic",
  "m_tot_mub_per_cell": 34.0,
  "lattice_angstrom": [[-4.886, 3.128, 9.490], [-5.315, -3.229, -1.672], [-1.150, -12.720, 3.600]],
  "species": ["Na", "Na", "Na", "Na", "Na", "Na", "Na", "Na", "Li", "Li", "Li", "Li", "Li", "Li", "Li", "Li", "Mn", "Mn", "Fe", "Fe", "Fe", "Fe", "Fe", "Fe", "P", "P", "P", "P", "P", "P", "P", "P", "O", "O", "O", "O", "O", "O", "O", "O", "O", "O", "O", "O", "O", "O", "O", "O", "O", "O", "O", "O", "O", "O", "O", "O", "O", "O", "O", "O", "O", "O", "O", "O", "F", "F", "F", "F", "F", "F", "F", "F"],
  "frac_coords": [[0.273, 0.854, 0.154], [0.773, 0.146, 0.346], [0.726, 0.660, 0.847], [0.226, 0.340, 0.653], [0.727, 0.146, 0.846], [0.227, 0.854, 0.654], [0.274, 0.340, 0.153], [0.774, 0.660, 0.347], [0.223, 0.342, 0.908], [0.723, 0.658, 0.592], [0.777, 0.658, 0.092], [0.277, 0.342, 0.408], [0.549, 0.018, 0.232], [0.049, 0.982, 0.268], [0.451, 0.982, 0.768], [0.951, 0.018, 0.732], [0.500, 0.000, 0.000], [0.000, 0.000, 0.500], [0.500, 0.500, 0.000], [0.000, 0.500, 0.500], [0.500, 0.500, 0.500], [0.000, 0.500, 0.000], [0.500, 0.000, 0.500], [0.000, 0.000, 0.000], [0.254, 0.830, 0.420], [0.754, 0.170, 0.080], [0.746, 0.170, 0.580], [0.246, 0.830, 0.920], [0.460, 0.493, 0.757], [0.960, 0.507, 0.743], [0.540, 0.507, 0.243], [0.040, 0.493, 0.257], [0.009, 0.379, 0.869], [0.509, 0.621, 0.631], [0.991, 0.621, 0.131], [0.491, 0.379, 0.369], [0.128, 0.767, 0.482], [0.628, 0.233, 0.018], [0.872, 0.233, 0.518], [0.372, 0.767, 0.982], [0.321, 0.492, 0.759], [0.821, 0.508, 0.741], [0.679, 0.508, 0.241], [0.179, 0.492, 0.259], [0.491, 0.370, 0.180], [0.991, 0.630, 0.320], [0.509, 0.233, 0.817], [0.009, 0.767, 0.683], [0.509, 0.630, 0.820], [0.009, 0.370, 0.680], [0.491, 0.767, 0.183], [0.991, 0.233, 0.317], [0.320, 0.589, 0.462], [0.820, 0.411, 0.038], [0.680, 0.014, 0.538], [0.180, 0.986, 0.962], [0.680, 0.411, 0.538], [0.180, 0.589, 0.962], [0.320, 0.986, 0.462], [0.820, 0.014, 0.038], [0.234, 0.960, 0.290], [0.734, 0.040, 0.210], [0.766, 0.040, 0.710], [0.266, 0.960, 0.790], [0.063, 0.143, 0.107], [0.563, 0.857, 0.393], [0.937, 0.857, 0.893], [0.437, 0.143, 0.607], [0.368, 0.223, 0.028], [0.868, 0.777, 0.472], [0.632, 0.777, 0.972], [0.132, 0.223, 0.528]]
}

***

{
  "formula": "Na3Li3Fe2F12",
  "functional": "PBE with a Hubbard U",
  "state": "relaxed",
  "sg": "No. 230",
  "e_form_ev_per_atom": -2.9576,
  "energy_mp2020_ev_per_atom": -5.438,
  "vol_a3_per_fu": 249.6,
  "crystal_system": "cubic",
  "m_tot_mub_per_cell": 40.0,
  "lattice_angstrom": [[-6.296, 6.296, 6.296], [6.296, -6.296, 6.296], [6.296, 6.296, -6.296]],
  "species": ["Na", "Na", "Na", "Na", "Na", "Na", "Na", "Na", "Na", "Na", "Na", "Na", "Li", "Li", "Li", "Li", "Li", "Li", "Li", "Li", "Li", "Li", "Li", "Li", "Fe", "Fe", "Fe", "Fe", "Fe", "Fe", "Fe", "Fe", "F", "F", "F", "F", "F", "F", "F", "F", "F", "F", "F", "F", "F", "F", "F", "F", "F", "F", "F", "F", "F", "F", "F", "F", "F", "F", "F", "F", "F", "F", "F", "F", "F", "F", "F", "F", "F", "F", "F", "F", "F", "F", "F", "F", "F", "F", "F", "F"],
  "frac_coords": [[0.625, 0.875, 0.750], [0.875, 0.625, 0.250], [0.625, 0.250, 0.875], [0.250, 0.875, 0.625], [0.750, 0.625, 0.875], [0.875, 0.750, 0.625], [0.375, 0.125, 0.250], [0.125, 0.375, 0.750], [0.375, 0.750, 0.125], [0.750, 0.125, 0.375], [0.125, 0.250, 0.375], [0.250, 0.375, 0.125], [0.250, 0.625, 0.375], [0.875, 0.250, 0.125], [0.125, 0.750, 0.875], [0.875, 0.125, 0.750], [0.625, 0.375, 0.250], [0.750, 0.875, 0.125], [0.125, 0.875, 0.250], [0.375, 0.625, 0.750], [0.625, 0.750, 0.375], [0.750, 0.375, 0.625], [0.250, 0.125, 0.875], [0.375, 0.250, 0.625], [0.500, 0.500, 0.500], [0.500, 0.500, 0.000], [0.500, 0.000, 0.500], [0.000, 0.500, 0.500], [0.500, 0.000, 0.000], [0.000, 0.000, 0.500], [0.000, 0.500, 0.000], [0.000, 0.000, 0.000], [0.807, 0.423, 0.825], [0.518, 0.402, 0.825], [0.675, 0.077, 0.693], [0.423, 0.098, 0.616], [0.825, 0.518, 0.402], [0.402, 0.077, 0.884], [0.098, 0.982, 0.675], [0.423, 0.825, 0.807], [0.077, 0.693, 0.675], [0.982, 0.807, 0.884], [0.884, 0.982, 0.807], [0.402, 0.825, 0.518], [0.616, 0.693, 0.518], [0.098, 0.616, 0.423], [0.518, 0.616, 0.693], [0.693, 0.675, 0.077], [0.693, 0.518, 0.616], [0.616, 0.423, 0.098], [0.675, 0.098, 0.982], [0.077, 0.884, 0.402], [0.193, 0.116, 0.018], [0.116, 0.598, 0.923], [0.175, 0.193, 0.577], [0.577, 0.175, 0.193], [0.018, 0.325, 0.902], [0.902, 0.018, 0.325], [0.598, 0.923, 0.116], [0.175, 0.482, 0.598], [0.577, 0.902, 0.384], [0.325, 0.923, 0.307], [0.482, 0.598, 0.175], [0.384, 0.577, 0.902], [0.923, 0.307, 0.325], [0.018, 0.193, 0.116], [0.116, 0.018, 0.193], [0.598, 0.175, 0.482], [0.384, 0.307, 0.482], [0.902, 0.384, 0.577], [0.482, 0.384, 0.307], [0.307, 0.325, 0.923], [0.307, 0.482, 0.384], [0.325, 0.902, 0.018], [0.923, 0.116, 0.598], [0.193, 0.577, 0.175], [0.807, 0.884, 0.982], [0.884, 0.402, 0.077], [0.825, 0.807, 0.423], [0.982, 0.675, 0.098]]
}

***

{
  "formula": "Li2FeOF3",
  "functional": "PBE with a Hubbard U",
  "state": "relaxed",
  "sg": "No. 7",
  "e_form_ev_per_atom": -2.6396,
  "energy_mp2020_ev_per_atom": -5.922,
  "vol_a3_per_fu": 75.0,
  "de_polymorph_mev_per_atom": 39,
  "crystal_system": "monoclinic",
  "m_tot_mub_per_cell": 0.0,
  "lattice_angstrom": [[5.807, 0.000, 0.000], [0.000, 5.290, 0.000], [0.000, 1.240, 9.764]],
  "species": ["Li", "Li", "Li", "Li", "Li", "Li", "Li", "Li", "Fe", "Fe", "Fe", "Fe", "O", "O", "O", "O", "F", "F", "F", "F", "F", "F", "F", "F", "F", "F", "F", "F"],
  "frac_coords": [[0.403, 0.494, 0.259], [0.623, 0.738, 0.013], [0.597, 0.494, 0.759], [0.377, 0.738, 0.513], [0.128, 0.970, 0.246], [0.630, 0.009, 0.247], [0.872, 0.970, 0.746], [0.370, 0.009, 0.747], [0.864, 0.257, 0.998], [0.136, 0.257, 0.498], [0.107, 0.742, 0.999], [0.893, 0.742, 0.499], [0.130, 0.596, 0.397], [0.890, 0.923, 0.103], [0.870, 0.596, 0.897], [0.110, 0.923, 0.603], [0.357, 0.140, 0.359], [0.892, 0.090, 0.374], [0.126, 0.393, 0.110], [0.626, 0.357, 0.127], [0.643, 0.140, 0.859], [0.108, 0.090, 0.874], [0.874, 0.393, 0.610], [0.374, 0.357, 0.627], [0.621, 0.684, 0.381], [0.368, 0.827, 0.134], [0.379, 0.684, 0.881], [0.632, 0.827, 0.634]]
}

***

{
  "formula": "Li6FeO4F",
  "functional": "PBE with a Hubbard U",
  "state": "relaxed",
  "sg": "No. 4",
  "e_form_ev_per_atom": -2.1352,
  "energy_mp2020_ev_per_atom": -5.604,
  "vol_a3_per_fu": 113.7,
  "crystal_system": "monoclinic",
  "m_tot_mub_per_cell": 10.0,
  "lattice_angstrom": [[9.602, 0.000, 0.000], [0.000, 5.006, 0.000], [0.000, 2.399, 4.731]],
  "species": ["Li", "Li", "Li", "Li", "Li", "Li", "Li", "Li", "Li", "Li", "Li", "Li", "Fe", "Fe", "O", "O", "O", "O", "O", "O", "O", "O", "F", "F"],
  "frac_coords": [[0.255, 0.421, 0.398], [0.756, 0.199, 0.380], [0.999, 0.743, 0.480], [0.493, 0.775, 0.435], [0.993, 0.225, 0.565], [0.499, 0.257, 0.520], [0.755, 0.579, 0.602], [0.256, 0.801, 0.620], [0.554, 0.278, 0.022], [0.938, 0.334, 0.007], [0.054, 0.722, 0.978], [0.438, 0.666, 0.993], [0.262, 0.185, 0.989], [0.762, 0.815, 0.011], [0.901, 0.560, 0.282], [0.606, 0.585, 0.247], [0.380, 0.141, 0.302], [0.880, 0.859, 0.698], [0.401, 0.440, 0.718], [0.106, 0.415, 0.753], [0.750, 0.207, 0.989], [0.250, 0.793, 0.011], [0.106, 0.101, 0.343], [0.606, 0.899, 0.657]]
}

***

{
  "formula": "LiFe2O2F3",
  "functional": "PBE with a Hubbard U",
  "state": "relaxed",
  "sg": "No. 1",
  "e_form_ev_per_atom": -2.3155,
  "energy_mp2020_ev_per_atom": -6.627,
  "vol_a3_per_fu": 91.2,
  "de_polymorph_mev_per_atom": 11,
  "crystal_system": "triclinic",
  "m_tot_mub_per_cell": 20.0,
  "lattice_angstrom": [[2.282, 0.775, -4.512], [2.963, -3.501, 3.769], [-5.021, -3.835, -3.253]],
  "species": ["Li", "Li", "Fe", "Fe", "Fe", "Fe", "O", "O", "O", "O", "F", "F", "F", "F", "F", "F"],
  "frac_coords": [[0.116, 0.563, 0.016], [0.065, 0.465, 0.526], [0.675, 0.894, 0.871], [0.705, 0.883, 0.368], [0.280, 0.107, 0.624], [0.325, 0.124, 0.129], [0.864, 0.905, 0.633], [0.507, 0.891, 0.131], [0.454, 0.091, 0.860], [0.118, 0.114, 0.367], [0.635, 0.502, 0.244], [0.294, 0.751, 0.451], [0.938, 0.755, 0.962], [0.042, 0.247, 0.040], [0.678, 0.243, 0.531], [0.326, 0.500, 0.751]]
}